No. 1
VASP calculation (GGA+U) on a relaxed LiCrPO4 crystal.

Computed properties:
Spin magnetization ... 0.571 μB/atom
Calculated formation energy ... -2.51 eV/atom
Relative energy among the computed polymorphs ... 58 meV/atom

abc: 9.9886 4.9880 7.2422
angles: 90.00 90.00 90.00
Sites, in units of the cell vectors:
Li  0.1532  0.1977  0.0000
Li  0.3468  0.6977  0.5000
Li  0.6532  0.3023  0.0000
Li  0.8468  0.8023  0.5000
Cr  0.1424  0.2141  0.4997
Cr  0.3576  0.7141  0.9997
Cr  0.6424  0.2859  0.4997
Cr  0.8576  0.7859  0.9997
P  0.0940  0.6899  0.2506
P  0.4060  0.1899  0.7506
P  0.5940  0.8101  0.2506
P  0.9060  0.3101  0.7506
O  0.0586  0.2439  0.7570
O  0.1202  0.3815  0.2404
O  0.1548  0.8193  0.0745
O  0.1567  0.7943  0.4329
O  0.3433  0.2943  0.9329
O  0.3452  0.3193  0.5745
O  0.3798  0.8815  0.7404
O  0.4414  0.7439  0.2570
O  0.5586  0.2561  0.7570
O  0.6202  0.1185  0.2404
O  0.6548  0.6807  0.0745
O  0.6567  0.7057  0.4329
O  0.8433  0.2057  0.9329
O  0.8452  0.1807  0.5745
O  0.8798  0.6185  0.7404
O  0.9414  0.7561  0.2570

***

No. 2
VASP calculation (GGA+U) on a relaxed Li6Cr3P8O29 crystal.

Computed properties:
Spin magnetization ... 0.109 μB/atom
Calculated formation energy ... -2.56 eV/atom

abc: 9.8335 9.8340 13.9590
angles: 89.86 89.85 60.06
Sites, in units of the cell vectors:
Li  0.0000  0.0000  0.0000
Li  0.0016  0.1326  0.5004
Li  0.0164  0.5615  0.4468
Li  0.3723  0.4504  0.1230
Li  0.3870  0.3035  0.6236
Li  0.4607  0.5388  0.5010
Li  0.4639  0.1340  0.0017
Li  0.5972  0.5393  0.0004
Li  0.7728  0.4480  0.6234
Li  0.7776  0.9068  0.1267
Li  0.9117  0.9145  0.6216
Li  0.9135  0.3130  0.1222
Cr  0.1187  0.2258  0.3119
Cr  0.1199  0.7902  0.8115
Cr  0.2513  0.2258  0.8117
Cr  0.2532  0.6576  0.3093
Cr  0.6851  0.7944  0.3138
Cr  0.6882  0.6598  0.8095
P  0.0086  0.1350  0.7201
P  0.0085  0.9926  0.2200
P  0.0187  0.5590  0.1920
P  0.0213  0.5575  0.6907
P  0.3512  0.8910  0.4292
P  0.3526  0.8910  0.9286
P  0.3628  0.3173  0.4051
P  0.3639  0.4574  0.9029
P  0.4536  0.1366  0.2221
P  0.4538  0.5477  0.7203
P  0.5995  0.9965  0.7238
P  0.5996  0.5467  0.2197
P  0.7764  0.4565  0.4041
P  0.7756  0.9011  0.9068
P  0.9174  0.3153  0.9020
P  0.9174  0.9013  0.4028
O  0.0087  0.4138  0.2297
O  0.0133  0.7114  0.7287
O  0.0197  0.1432  0.2202
O  0.0204  0.5569  0.0836
O  0.0201  0.5585  0.5826
O  0.0199  0.9731  0.7205
O  0.0625  0.7347  0.3876
O  0.0652  0.3293  0.8860
O  0.1694  0.8447  0.2343
O  0.1695  0.1214  0.7366
O  0.1749  0.4109  0.7284
O  0.1755  0.5479  0.2282
O  0.1949  0.3421  0.3883
O  0.1970  0.0390  0.3951
O  0.1972  0.9005  0.8912
O  0.2026  0.6051  0.8875
O  0.3058  0.1230  0.2365
O  0.3062  0.7084  0.7359
O  0.3520  0.3069  0.9033
O  0.3519  0.4798  0.4023
O  0.3530  0.8877  0.0367
O  0.3543  0.8835  0.5378
O  0.3570  0.7381  0.3921
O  0.3598  0.0390  0.8927
O  0.4342  0.1427  0.7225
O  0.4349  0.2310  0.4956
O  0.4368  0.5594  0.2193
O  0.4435  0.2266  0.1318
O  0.4434  0.4677  0.6307
O  0.4430  0.4686  0.9927
O  0.4698  0.2272  0.3136
O  0.4736  0.4375  0.8117
O  0.4948  0.8965  0.3879
O  0.4985  0.7384  0.8897
O  0.5903  0.7055  0.2339
O  0.5898  0.8444  0.7335
O  0.6044  0.5592  0.7199
O  0.6043  0.9753  0.2222
O  0.6747  0.0184  0.8214
O  0.6832  0.4703  0.4931
O  0.6872  0.4393  0.3124
O  0.6892  0.9749  0.9988
O  0.6898  0.4642  0.1303
O  0.6959  0.9912  0.6397
O  0.7673  0.4774  0.9019
O  0.7710  0.8851  0.4020
O  0.7909  0.7402  0.8877
O  0.8018  0.5983  0.3895
O  0.8746  0.5490  0.7284
O  0.8750  0.7137  0.2300
O  0.8978  0.2257  0.8109
O  0.9013  0.0098  0.3119
O  0.9284  0.9823  0.1303
O  0.9302  0.2248  0.6298
O  0.9298  0.2245  0.9921
O  0.9344  0.9778  0.4918
O  0.9368  0.8919  0.9031
O  0.9378  0.3049  0.4051

***

No. 3
VASP calculation (GGA+U) on a relaxed Li6Cr3SbP6O24 crystal.

Computed properties:
Spin magnetization ... 0.225 μB/atom
Calculated formation energy ... -2.57 eV/atom

abc: 8.4732 8.5224 8.5249
angles: 63.33 63.48 63.22
Sites, in units of the cell vectors:
Li  0.0000  0.0000  0.0000
Li  0.0701  0.5036  0.9381
Li  0.2660  0.8646  0.6514
Li  0.5206  0.6993  0.2955
Li  0.7082  0.3713  0.1576
Li  0.8806  0.1485  0.4803
Cr  0.3809  0.0126  0.7948
Cr  0.6029  0.2220  0.0075
Cr  0.8907  0.5200  0.3071
Sb  0.0916  0.7120  0.5031
P  0.1939  0.1232  0.1898
P  0.3105  0.6221  0.0919
P  0.5016  0.4037  0.6097
P  0.6775  0.9368  0.4117
P  0.7850  0.8248  0.9143
P  0.9960  0.3080  0.7191
O  0.0148  0.2987  0.2033
O  0.0603  0.4474  0.7255
O  0.1269  0.5798  0.1554
O  0.1449  0.1138  0.7296
O  0.1623  0.9797  0.3904
O  0.1983  0.0608  0.0434
O  0.2992  0.7850  0.9099
O  0.3263  0.6782  0.2327
O  0.3547  0.6055  0.5776
O  0.3691  0.1646  0.1366
O  0.4305  0.2545  0.6400
O  0.4864  0.4577  0.0638
O  0.4902  0.9406  0.5654
O  0.5681  0.3639  0.7647
O  0.6191  0.8743  0.8574
O  0.6644  0.1122  0.2421
O  0.6681  0.4163  0.4216
O  0.7369  0.7585  0.3632
O  0.7797  0.9790  0.9646
O  0.7876  0.6415  0.0846
O  0.8211  0.9425  0.4733
O  0.8382  0.2808  0.9048
O  0.9467  0.3656  0.5437
O  0.9823  0.7773  0.7672

***

No. 4
VASP calculation (GGA+U) on a relaxed Li2VCrP4O14 crystal.

Computed properties:
Spin magnetization ... 0.000 μB/atom
Calculated formation energy ... -2.70 eV/atom

abc: 4.8793 10.8472 10.8026
angles: 99.09 101.79 102.06
Sites, in units of the cell vectors:
Li  0.1800  0.7681  0.9062
Li  0.1798  0.2681  0.4062
Li  0.8219  0.3440  0.9824
Li  0.8220  0.8440  0.4825
V  0.2158  0.1149  0.6154
V  0.2160  0.6149  0.1153
Cr  0.7862  0.6363  0.6365
Cr  0.7860  0.1364  0.1366
P  0.3991  0.3504  0.1707
P  0.3993  0.8504  0.6708
P  0.2132  0.4367  0.6498
P  0.2130  0.9367  0.1498
P  0.7843  0.5976  0.3166
P  0.7843  0.0977  0.8167
P  0.6003  0.5783  0.8973
P  0.6001  0.0783  0.3973
O  0.0490  0.5874  0.2654
O  0.0488  0.0874  0.7654
O  0.1344  0.7919  0.0931
O  0.1347  0.2919  0.5932
O  0.1854  0.2593  0.2220
O  0.1854  0.7593  0.7220
O  0.2480  0.4254  0.0812
O  0.2481  0.9255  0.5813
O  0.4009  0.6426  0.9634
O  0.4007  0.1426  0.4634
O  0.6015  0.6749  0.2435
O  0.6013  0.1750  0.7438
O  0.5925  0.4519  0.3012
O  0.5926  0.9519  0.8012
O  0.4036  0.4497  0.7966
O  0.4033  0.9496  0.2966
O  0.4019  0.5112  0.5751
O  0.4018  0.0112  0.0751
O  0.6026  0.2863  0.1079
O  0.6026  0.7863  0.6078
O  0.7529  0.6677  0.8215
O  0.7527  0.1678  0.3216
O  0.8150  0.5283  0.9887
O  0.8148  0.0282  0.4886
O  0.8649  0.1538  0.9622
O  0.8645  0.6539  0.4620
O  0.9474  0.4859  0.6603
O  0.9474  0.9860  0.1604

***

No. 5
VASP calculation (GGA+U) on a relaxed Li2VCrP4O14 crystal.

Computed properties:
Spin magnetization ... 0.227 μB/atom
Calculated formation energy ... -2.70 eV/atom

abc: 7.0180 9.5490 9.5496
angles: 118.72 99.45 99.44
Sites, in units of the cell vectors:
Li  0.0000  0.0000  0.0000
Li  0.9998  0.5000  0.5001
Li  0.3542  0.4263  0.9264
Li  0.3546  0.9259  0.4259
V  0.4061  0.1281  0.2639
V  0.9478  0.6619  0.2978
Cr  0.4047  0.6273  0.7638
Cr  0.9496  0.1626  0.7991
P  0.1544  0.2299  0.5472
P  0.1560  0.7293  0.0459
P  0.1986  0.3794  0.1959
P  0.1994  0.8799  0.6971
P  0.5908  0.5223  0.4436
P  0.5923  0.0211  0.9412
P  0.7625  0.4835  0.9034
P  0.7627  0.9840  0.4056
O  0.0710  0.4823  0.2973
O  0.0707  0.9810  0.7970
O  0.1586  0.3445  0.0179
O  0.1592  0.8439  0.5184
O  0.1683  0.2228  0.7059
O  0.1717  0.7239  0.2050
O  0.1820  0.2207  0.2019
O  0.1861  0.7208  0.7035
O  0.1952  0.9081  0.0817
O  0.1955  0.4080  0.5824
O  0.2830  0.1291  0.4453
O  0.2838  0.6290  0.9441
O  0.4303  0.4906  0.2798
O  0.4309  0.9911  0.7797
O  0.5292  0.6344  0.5953
O  0.5299  0.1340  0.0936
O  0.5608  0.4882  0.8182
O  0.5615  0.9861  0.3191
O  0.5947  0.3536  0.4251
O  0.5947  0.8534  0.9241
O  0.7580  0.5008  0.0715
O  0.7607  0.0021  0.5736
O  0.7923  0.6069  0.4398
O  0.7938  0.1078  0.9379
O  0.8236  0.3310  0.7913
O  0.8260  0.8325  0.2926
O  0.9235  0.6465  0.9353
O  0.9236  0.1463  0.4353

***

No. 6
VASP calculation (GGA+U) on a relaxed Li2VCrP4O14 crystal.

Computed properties:
Spin magnetization ... 0.227 μB/atom
Calculated formation energy ... -2.70 eV/atom

abc: 7.1517 9.5574 9.5591
angles: 118.76 100.73 100.70
Sites, in units of the cell vectors:
Li  0.0000  0.0000  0.0000
Li  0.9999  0.5000  0.4999
Li  0.6467  0.2495  0.7496
Li  0.6475  0.7511  0.2511
V  0.0527  0.3249  0.6884
V  0.5943  0.0619  0.9250
Cr  0.0514  0.8256  0.1880
Cr  0.5958  0.5620  0.4249
P  0.2367  0.0230  0.6014
P  0.2382  0.5251  0.1048
P  0.4094  0.1473  0.2273
P  0.4094  0.6470  0.7250
P  0.8006  0.5980  0.7803
P  0.8019  0.0974  0.2805
P  0.8448  0.9687  0.6519
P  0.8466  0.4711  0.1533
O  0.0769  0.4739  0.1856
O  0.0766  0.9739  0.6845
O  0.1761  0.8805  0.4187
O  0.1766  0.3814  0.9217
O  0.2082  0.0413  0.2114
O  0.2079  0.5447  0.7102
O  0.2407  0.1934  0.6215
O  0.2406  0.6938  0.1231
O  0.4044  0.1276  0.0571
O  0.4077  0.6282  0.5562
O  0.4380  0.0396  0.7059
O  0.4397  0.5394  0.2088
O  0.4690  0.3301  0.3695
O  0.4723  0.8301  0.8693
O  0.5698  0.5653  0.7763
O  0.5706  0.0651  0.2763
O  0.7167  0.8030  0.4877
O  0.7179  0.3054  0.9885
O  0.8049  0.4859  0.3105
O  0.8055  0.9851  0.8108
O  0.8135  0.6112  0.6280
O  0.8185  0.1120  0.1305
O  0.8285  0.1194  0.6382
O  0.8333  0.6227  0.1391
O  0.8415  0.4397  0.7641
O  0.8424  0.9396  0.2654
O  0.9292  0.2622  0.4470
O  0.9301  0.7621  0.9454

***

No. 7
VASP calculation (GGA+U) on a relaxed Li2VCrP4O14 crystal.

Computed properties:
Spin magnetization ... 0.227 μB/atom
Calculated formation energy ... -2.70 eV/atom

abc: 7.0235 8.2208 9.7373
angles: 90.00 108.73 90.00
Sites, in units of the cell vectors:
Li  0.1772  0.0000  0.0881
Li  0.1767  0.0000  0.5885
Li  0.8233  0.5000  0.4115
Li  0.8228  0.5000  0.9119
V  0.2289  0.6364  0.1081
V  0.7711  0.1364  0.8919
Cr  0.2280  0.6369  0.6071
Cr  0.7720  0.1369  0.3929
P  0.0213  0.3167  0.2005
P  0.0229  0.3176  0.6996
P  0.4144  0.4200  0.3945
P  0.4141  0.4217  0.8932
P  0.5856  0.9200  0.6055
P  0.5859  0.9217  0.1068
P  0.9771  0.8176  0.3004
P  0.9787  0.8167  0.7995
O  0.0051  0.4811  0.1240
O  0.0093  0.4832  0.6238
O  0.0177  0.6740  0.9067
O  0.0184  0.6749  0.4071
O  0.1057  0.8167  0.1995
O  0.1067  0.8153  0.6985
O  0.2535  0.2887  0.7973
O  0.2535  0.2887  0.2973
O  0.3513  0.4601  0.0253
O  0.3544  0.4602  0.5270
O  0.3840  0.8301  0.5654
O  0.3846  0.8336  0.0649
O  0.4162  0.5717  0.8002
O  0.4195  0.5706  0.3021
O  0.5805  0.0706  0.6979
O  0.5838  0.0717  0.1998
O  0.6154  0.3336  0.9351
O  0.6160  0.3301  0.4346
O  0.6456  0.9602  0.4730
O  0.6487  0.9601  0.9747
O  0.7465  0.7887  0.7027
O  0.7465  0.7887  0.2027
O  0.8933  0.3153  0.3015
O  0.8943  0.3167  0.8005
O  0.9823  0.1740  0.0933
O  0.9816  0.1749  0.5929
O  0.9907  0.9832  0.3762
O  0.9949  0.9811  0.8760

***

No. 8
VASP calculation (GGA+U) on a relaxed Li2VCrP4O14 crystal.

Computed properties:
Spin magnetization ... 0.227 μB/atom
Calculated formation energy ... -2.70 eV/atom

abc: 7.0162 9.5438 12.7519
angles: 99.52 104.21 99.38
Sites, in units of the cell vectors:
Li  0.0000  0.0000  0.0000
Li  0.0002  0.3334  0.3334
Li  0.0002  0.6662  0.6663
Li  0.3532  0.1179  0.6178
Li  0.3533  0.4512  0.9509
Li  0.3537  0.7842  0.2842
V  0.4056  0.0398  0.1763
V  0.9478  0.2291  0.8653
V  0.9475  0.5625  0.1990
Cr  0.4043  0.7054  0.8420
Cr  0.4047  0.3727  0.5094
Cr  0.9487  0.8957  0.5330
P  0.1539  0.0473  0.3651
P  0.1559  0.3811  0.6977
P  0.1556  0.7138  0.0308
P  0.1987  0.3142  0.1312
P  0.1997  0.6477  0.4649
P  0.1997  0.9801  0.7976
P  0.5910  0.0397  0.9614
P  0.5908  0.3744  0.2960
P  0.5914  0.7073  0.6283
P  0.7614  0.5166  0.9361
P  0.7624  0.1825  0.6025
P  0.7627  0.8488  0.2708
O  0.0703  0.7148  0.5314
O  0.0710  0.0480  0.8647
O  0.0709  0.3830  0.1984
O  0.1584  0.0040  0.6790
O  0.1591  0.3384  0.0125
O  0.1598  0.6711  0.3461
O  0.1672  0.9874  0.4707
O  0.1710  0.6553  0.1365
O  0.1719  0.3221  0.8033
O  0.1816  0.1534  0.1348
O  0.1863  0.4863  0.4693
O  0.1860  0.8189  0.8024
O  0.1943  0.8805  0.0547
O  0.1951  0.2138  0.3886
O  0.1949  0.5477  0.7211
O  0.2824  0.9805  0.2974
O  0.2834  0.6475  0.9629
O  0.2838  0.3144  0.6298
O  0.4303  0.0644  0.8533
O  0.4302  0.3975  0.1871
O  0.4310  0.7315  0.5201
O  0.5280  0.1022  0.0623
O  0.5294  0.4362  0.3971
O  0.5315  0.7696  0.7300
O  0.5600  0.5494  0.8789
O  0.5607  0.2159  0.5457
O  0.5612  0.8795  0.2134
O  0.5926  0.8773  0.9492
O  0.5942  0.5450  0.6160
O  0.5947  0.2119  0.2838
O  0.7564  0.4772  0.0474
O  0.7572  0.1438  0.7142
O  0.7609  0.8109  0.3827
O  0.7923  0.1263  0.9599
O  0.7919  0.4599  0.2931
O  0.7930  0.7945  0.6252
O  0.8227  0.0673  0.5276
O  0.8237  0.4021  0.8613
O  0.8257  0.7352  0.1955
O  0.9232  0.0014  0.2903
O  0.9235  0.3350  0.6237
O  0.9231  0.6682  0.9569